(i)
A plane-wave DFT calculation with GGA+U was carried out for a geometry-optimized Li2CrP2O7 structure.

Output
**Volume**: 152.7 Å³/f.u.

Unit cell a=5.285 b=8.591 c=7.165 alpha=90.00 beta=110.14 gamma=90.00
Sites, in units of the cell vectors:
Li  0.074  0.000  0.361
Li  0.256  0.823  0.096
Li  0.744  0.323  0.904
Li  0.926  0.500  0.639
Cr  0.037  0.142  0.729
Cr  0.963  0.642  0.271
P  0.333  0.437  0.073
P  0.341  0.341  0.478
P  0.659  0.841  0.522
P  0.667  0.937  0.927
O  0.138  0.355  0.887
O  0.160  0.480  0.479
O  0.206  0.592  0.103
O  0.216  0.189  0.518
O  0.338  0.319  0.252
O  0.370  0.862  0.384
O  0.382  0.954  0.928
O  0.618  0.454  0.072
O  0.630  0.362  0.616
O  0.662  0.819  0.748
O  0.784  0.689  0.482
O  0.794  0.092  0.897
O  0.840  0.980  0.521
O  0.862  0.855  0.113

=====

(ii)
A plane-wave DFT calculation with GGA+U was carried out for a geometry-optimized Li2CrP2O7 structure.

Output
**Volume**: 139.1 Å³/f.u.

Unit cell a=8.568 b=5.094 c=14.457 alpha=90.00 beta=118.11 gamma=90.00
Sites, in units of the cell vectors:
Li  0.000  0.224  0.079
Li  0.000  0.276  0.579
Li  0.000  0.724  0.421
Li  0.000  0.776  0.921
Li  0.436  0.243  0.815
Li  0.436  0.257  0.315
Li  0.564  0.743  0.685
Li  0.564  0.757  0.185
Cr  0.278  0.239  0.520
Cr  0.278  0.261  0.020
Cr  0.722  0.739  0.980
Cr  0.722  0.761  0.480
P  0.177  0.739  0.150
P  0.177  0.761  0.650
P  0.304  0.749  0.376
P  0.304  0.751  0.876
P  0.696  0.249  0.124
P  0.696  0.251  0.624
P  0.823  0.239  0.350
P  0.823  0.261  0.850
O  0.007  0.183  0.938
O  0.007  0.317  0.438
O  0.158  0.692  0.754
O  0.158  0.808  0.254
O  0.215  0.055  0.653
O  0.215  0.445  0.153
O  0.217  0.630  0.937
O  0.217  0.870  0.437
O  0.320  0.585  0.647
O  0.320  0.915  0.147
O  0.332  0.046  0.893
O  0.332  0.454  0.393
O  0.470  0.605  0.888
O  0.470  0.895  0.388
O  0.530  0.105  0.612
O  0.530  0.395  0.112
O  0.668  0.546  0.607
O  0.668  0.954  0.107
O  0.680  0.085  0.853
O  0.680  0.415  0.353
O  0.783  0.130  0.563
O  0.783  0.370  0.063
O  0.785  0.555  0.847
O  0.785  0.945  0.347
O  0.842  0.192  0.746
O  0.842  0.308  0.246
O  0.993  0.683  0.562
O  0.993  0.817  0.062

=====

Most stable to least stable, the ends of the list are (i) and (ii).

=====

(i)
A plane-wave DFT calculation with GGA+U was carried out for a geometry-optimized Li9Mn2Co5O16 structure.

Output
**Volume**: 294.7 Å³/f.u.

Unit cell a=2.989 b=2.989 c=39.184 alpha=90.71 beta=90.71 gamma=57.33
Sites, in units of the cell vectors:
Li  0.000  0.000  0.000
Li  0.126  0.126  0.376
Li  0.238  0.238  0.746
Li  0.374  0.374  0.123
Li  0.503  0.503  0.500
Li  0.565  0.565  0.687
Li  0.629  0.629  0.878
Li  0.753  0.753  0.252
Li  0.887  0.887  0.626
Mn  0.064  0.064  0.187
Mn  0.937  0.937  0.813
Co  0.188  0.188  0.562
Co  0.314  0.314  0.938
Co  0.440  0.440  0.313
Co  0.687  0.687  0.062
Co  0.815  0.815  0.438
O  0.054  0.054  0.090
O  0.073  0.073  0.285
O  0.150  0.150  0.466
O  0.219  0.219  0.655
O  0.295  0.295  0.842
O  0.323  0.323  0.035
O  0.432  0.432  0.217
O  0.478  0.478  0.408
O  0.526  0.526  0.590
O  0.581  0.581  0.786
O  0.648  0.648  0.967
O  0.694  0.694  0.158
O  0.804  0.804  0.340
O  0.846  0.846  0.533
O  0.907  0.907  0.719
O  0.978  0.978  0.909

=====

(ii)
A plane-wave DFT calculation with GGA+U was carried out for a geometry-optimized Li9Mn2Co5O16 structure.

Output
**Volume**: 290.2 Å³/f.u.

Unit cell a=10.679 b=10.679 c=9.848 alpha=107.32 beta=107.32 gamma=15.72
Sites, in units of the cell vectors:
Li  0.000  0.000  0.000
Li  0.125  0.125  0.615
Li  0.255  0.255  0.222
Li  0.370  0.370  0.884
Li  0.502  0.502  0.478
Li  0.628  0.628  0.118
Li  0.751  0.751  0.745
Li  0.814  0.814  0.053
Li  0.877  0.877  0.353
Mn  0.314  0.314  0.553
Mn  0.565  0.565  0.803
Co  0.060  0.060  0.299
Co  0.199  0.199  0.932
Co  0.429  0.429  0.172
Co  0.686  0.686  0.422
Co  0.939  0.939  0.681
O  0.038  0.038  0.663
O  0.091  0.091  0.938
O  0.158  0.158  0.283
O  0.223  0.223  0.567
O  0.276  0.276  0.892
O  0.350  0.350  0.210
O  0.404  0.404  0.539
O  0.475  0.475  0.820
O  0.534  0.534  0.159
O  0.597  0.597  0.451
O  0.653  0.653  0.783
O  0.716  0.716  0.073
O  0.787  0.787  0.415
O  0.839  0.839  0.690
O  0.910  0.910  0.028
O  0.972  0.972  0.326

=====

(iii)
A plane-wave DFT calculation with GGA+U was carried out for a geometry-optimized Li9Mn2Co5O16 structure.

Output
**Volume**: 289.8 Å³/f.u.

Unit cell a=5.158 b=5.835 c=10.191 alpha=89.69 beta=80.91 gamma=73.30
Sites, in units of the cell vectors:
Li  0.000  0.000  0.000
Li  0.487  0.630  0.882
Li  0.489  0.125  0.368
Li  0.492  0.128  0.882
Li  0.495  0.624  0.365
Li  0.505  0.376  0.635
Li  0.508  0.872  0.118
Li  0.511  0.875  0.632
Li  0.513  0.370  0.118
Mn  0.000  0.000  0.500
Mn  0.000  0.500  0.500
Co  0.000  0.500  0.000
Co  0.006  0.243  0.760
Co  0.013  0.244  0.235
Co  0.987  0.756  0.765
Co  0.994  0.757  0.240
O  0.213  0.453  0.324
O  0.215  0.694  0.559
O  0.221  0.194  0.554
O  0.222  0.942  0.325
O  0.226  0.674  0.066
O  0.239  0.948  0.800
O  0.240  0.189  0.074
O  0.240  0.443  0.813
O  0.760  0.557  0.187
O  0.760  0.811  0.926
O  0.761  0.052  0.200
O  0.774  0.326  0.934
O  0.778  0.058  0.675
O  0.779  0.806  0.446
O  0.785  0.306  0.441
O  0.787  0.547  0.676

=====

(iv)
A plane-wave DFT calculation with GGA+U was carried out for a geometry-optimized Li9Mn2Co5O16 structure.

Output
**Volume**: 286.4 Å³/f.u.

Unit cell a=6.660 b=6.660 c=15.301 alpha=92.33 beta=92.33 gamma=24.98
Sites, in units of the cell vectors:
Li  0.000  0.000  0.000
Li  0.062  0.062  0.182
Li  0.184  0.184  0.564
Li  0.315  0.315  0.943
Li  0.437  0.437  0.313
Li  0.563  0.563  0.687
Li  0.685  0.685  0.057
Li  0.816  0.816  0.436
Li  0.938  0.938  0.818
Mn  0.247  0.247  0.751
Mn  0.753  0.753  0.249
Co  0.125  0.125  0.376
Co  0.390  0.390  0.116
Co  0.500  0.500  0.500
Co  0.610  0.610  0.884
Co  0.875  0.875  0.624
O  0.029  0.029  0.590
O  0.108  0.108  0.785
O  0.156  0.156  0.962
O  0.220  0.220  0.170
O  0.280  0.280  0.333
O  0.348  0.348  0.541
O  0.393  0.393  0.709
O  0.475  0.475  0.901
O  0.525  0.525  0.099
O  0.607  0.607  0.291
O  0.652  0.652  0.459
O  0.720  0.720  0.667
O  0.780  0.780  0.830
O  0.844  0.844  0.038
O  0.892  0.892  0.215
O  0.971  0.971  0.410

=====

Most stable to least stable, the ends of the list are (iv) and (i).

=====

(i)
A plane-wave DFT calculation with GGA+U was carried out for a geometry-optimized Li9Mn2Co5O16 structure.

Output
**Volume**: 287.2 Å³/f.u.

Unit cell a=2.967 b=6.458 c=15.415 alpha=88.33 beta=86.99 gamma=76.96
Sites, in units of the cell vectors:
Li  0.000  0.000  0.000
Li  0.026  0.888  0.178
Li  0.166  0.639  0.560
Li  0.281  0.381  0.932
Li  0.421  0.135  0.311
Li  0.542  0.883  0.685
Li  0.657  0.652  0.056
Li  0.795  0.380  0.435
Li  0.924  0.130  0.808
Mn  0.092  0.762  0.373
Mn  0.358  0.248  0.116
Co  0.224  0.510  0.747
Co  0.483  0.014  0.499
Co  0.606  0.770  0.876
Co  0.711  0.518  0.244
Co  0.846  0.264  0.622
O  0.039  0.967  0.589
O  0.056  0.800  0.781
O  0.173  0.697  0.956
O  0.192  0.555  0.157
O  0.246  0.461  0.334
O  0.345  0.308  0.531
O  0.360  0.218  0.714
O  0.463  0.041  0.895
O  0.504  0.965  0.092
O  0.523  0.817  0.281
O  0.653  0.715  0.466
O  0.667  0.558  0.656
O  0.777  0.472  0.837
O  0.846  0.315  0.038
O  0.854  0.212  0.203
O  0.919  0.063  0.407

=====

(ii)
A plane-wave DFT calculation with GGA+U was carried out for a geometry-optimized Li9Mn2Co5O16 structure.

Output
**Volume**: 281.5 Å³/f.u.

Unit cell a=5.899 b=6.446 c=8.111 alpha=88.83 beta=89.38 gamma=65.90
Sites, in units of the cell vectors:
Li  0.000  0.000  0.000
Li  0.006  0.000  0.499
Li  0.120  0.243  0.243
Li  0.253  0.501  0.999
Li  0.368  0.753  0.754
Li  0.495  0.000  0.500
Li  0.634  0.248  0.245
Li  0.748  0.498  0.001
Li  0.879  0.755  0.757
Mn  0.250  0.500  0.499
Mn  0.501  0.000  0.001
Co  0.126  0.245  0.751
Co  0.362  0.758  0.247
Co  0.639  0.242  0.754
Co  0.751  0.500  0.500
Co  0.877  0.753  0.248
O  0.002  0.020  0.746
O  0.131  0.262  0.509
O  0.156  0.230  0.986
O  0.244  0.488  0.737
O  0.261  0.507  0.262
O  0.370  0.738  0.489
O  0.384  0.757  0.013
O  0.485  0.995  0.239
O  0.517  0.004  0.762
O  0.598  0.279  0.510
O  0.616  0.243  0.988
O  0.741  0.489  0.734
O  0.757  0.515  0.266
O  0.842  0.770  0.013
O  0.902  0.720  0.492
O  0.991  0.983  0.252

=====

Most stable to least stable, the ends of the list are (ii) and (i).

=====

(i)
A plane-wave DFT calculation with GGA+U was carried out for a geometry-optimized Li9Mn2Co5O16 structure.

Output
**Volume**: 291.3 Å³/f.u.

Unit cell a=2.981 b=2.981 c=38.820 alpha=90.05 beta=90.05 gamma=57.61
Sites, in units of the cell vectors:
Li  0.000  0.000  0.000
Li  0.060  0.060  0.814
Li  0.187  0.187  0.438
Li  0.319  0.319  0.060
Li  0.440  0.440  0.687
Li  0.560  0.560  0.313
Li  0.681  0.681  0.940
Li  0.813  0.813  0.562
Li  0.940  0.940  0.186
Mn  0.250  0.250  0.250
Mn  0.750  0.750  0.750
Co  0.125  0.125  0.625
Co  0.373  0.373  0.875
Co  0.500  0.500  0.500
Co  0.627  0.627  0.125
Co  0.875  0.875  0.375
O  0.021  0.021  0.901
O  0.117  0.117  0.721
O  0.139  0.139  0.528
O  0.217  0.217  0.347
O  0.269  0.269  0.153
O  0.346  0.346  0.968
O  0.384  0.384  0.780
O  0.467  0.467  0.596
O  0.533  0.533  0.404
O  0.616  0.616  0.220
O  0.654  0.654  0.032
O  0.731  0.731  0.847
O  0.783  0.783  0.653
O  0.861  0.861  0.472
O  0.883  0.883  0.279
O  0.979  0.979  0.099

=====

(ii)
A plane-wave DFT calculation with GGA+U was carried out for a geometry-optimized Li9Mn2Co5O16 structure.

Output
**Volume**: 287.0 Å³/f.u.

Unit cell a=2.961 b=9.945 c=10.198 alpha=107.01 beta=90.55 gamma=91.32
Sites, in units of the cell vectors:
Li  0.000  0.000  0.000
Li  0.002  0.747  0.241
Li  0.004  0.248  0.239
Li  0.492  0.003  0.772
Li  0.494  0.503  0.761
Li  0.506  0.497  0.239
Li  0.508  0.997  0.228
Li  0.996  0.752  0.761
Li  0.998  0.253  0.759
Mn  0.000  0.000  0.500
Mn  0.000  0.500  0.500
Co  0.000  0.500  0.000
Co  0.499  0.763  0.003
Co  0.500  0.250  0.499
Co  0.500  0.750  0.501
Co  0.501  0.237  0.997
O  0.001  0.870  0.121
O  0.006  0.616  0.883
O  0.012  0.863  0.606
O  0.013  0.361  0.605
O  0.477  0.620  0.611
O  0.484  0.120  0.608
O  0.490  0.627  0.113
O  0.497  0.141  0.120
O  0.503  0.859  0.880
O  0.510  0.373  0.887
O  0.516  0.880  0.392
O  0.523  0.380  0.389
O  0.987  0.639  0.395
O  0.988  0.137  0.394
O  0.994  0.384  0.117
O  0.999  0.130  0.879

=====

(iii)
A plane-wave DFT calculation with GGA+U was carried out for a geometry-optimized Li9Mn2Co5O16 structure.

Output
**Volume**: 283.6 Å³/f.u.

Unit cell a=5.892 b=5.929 c=8.614 alpha=70.79 beta=87.99 gamma=86.31
Sites, in units of the cell vectors:
Li  0.000  0.000  0.000
Li  0.000  0.490  0.003
Li  0.251  0.371  0.750
Li  0.253  0.871  0.750
Li  0.511  0.731  0.517
Li  0.512  0.247  0.510
Li  0.754  0.368  0.751
Li  0.755  0.113  0.263
Li  0.759  0.613  0.265
Mn  0.509  0.496  0.006
Mn  0.509  0.998  0.008
Co  0.251  0.118  0.257
Co  0.256  0.619  0.262
Co  0.757  0.868  0.757
Co  0.998  0.733  0.511
Co  0.999  0.241  0.506
O  0.018  0.846  0.272
O  0.019  0.354  0.262
O  0.238  0.013  0.493
O  0.247  0.510  0.501
O  0.256  0.223  0.013
O  0.283  0.752  0.020
O  0.491  0.390  0.247
O  0.493  0.889  0.248
O  0.515  0.094  0.772
O  0.530  0.637  0.770
O  0.723  0.231  0.009
O  0.755  0.770  0.997
O  0.759  0.963  0.522
O  0.772  0.472  0.507
O  0.975  0.094  0.741
O  0.990  0.637  0.748

=====

Most stable to least stable, the ends of the list are (iii) and (i).